Record 1
First-principles (PBE) data for a relaxed structure of NaTl2InF6, as listed in the Materials Project database.

```
data_NaTl2InF6
_symmetry_space_group_name_H-M 'P 1'
_symmetry_Int_Tables_number 1
_cell_length_a 6.2464
_cell_length_b 6.2464
_cell_length_c 6.2464
_cell_angle_alpha 60.00
_cell_angle_beta 60.00
_cell_angle_gamma 60.00
loop_
_symmetry_equiv_pos_as_xyz
'x,y,z'
loop_
_atom_site_label
_atom_site_type_symbol
_atom_site_fract_x
_atom_site_fract_y
_atom_site_fract_z
Tl1 Tl 0.2500 0.2500 0.2500
Tl2 Tl 0.7500 0.7500 0.7500
F1 F 0.2391 0.7609 0.2391
F2 F 0.2391 0.2391 0.7609
F3 F 0.7609 0.2391 0.7609
F4 F 0.7609 0.2391 0.2391
F5 F 0.7609 0.7609 0.2391
F6 F 0.2391 0.7609 0.7609
Na1 Na 0.5000 0.5000 0.5000
In1 In 0.0000 0.0000 0.0000
```

Computed properties:
total energy: -4.337 eV/atom
total magnetic moment: 0.0 μB/cell
energy relative to the elements: -249 kJ per mole of atoms

Record 2
First-principles (PBE) data for a relaxed structure of CeY4Zn5, as listed in the Materials Project database.

```
data_CeY4Zn5
_symmetry_space_group_name_H-M 'P 1'
_symmetry_Int_Tables_number 1
_cell_length_a 3.6035
_cell_length_b 3.6035
_cell_length_c 18.0865
_cell_angle_alpha 90.00
_cell_angle_beta 90.00
_cell_angle_gamma 90.00
loop_
_symmetry_equiv_pos_as_xyz
'x,y,z'
loop_
_atom_site_label
_atom_site_type_symbol
_atom_site_fract_x
_atom_site_fract_y
_atom_site_fract_z
Zn1 Zn 0.5000 0.5000 0.1016
Zn2 Zn 0.5000 0.5000 0.8984
Zn3 Zn 0.5000 0.5000 0.6998
Zn4 Zn 0.5000 0.5000 0.3002
Zn5 Zn 0.5000 0.5000 0.5000
Y1 Y 0.0000 0.0000 0.8000
Y2 Y 0.0000 0.0000 0.2000
Y3 Y 0.0000 0.0000 0.4003
Y4 Y 0.0000 0.0000 0.5997
Ce1 Ce 0.0000 0.0000 0.0000
```

Computed properties:
total energy: -4.134 eV/atom
total magnetic moment: 0.3 μB/cell
energy relative to the elements: -31 kJ per mole of atoms

Record 3
First-principles (PBE) data for a relaxed structure of Li2Sm2Si3, as listed in the Materials Project database.

```
data_Li2Sm2Si3
_symmetry_space_group_name_H-M 'P 1'
_symmetry_Int_Tables_number 1
_cell_length_a 9.4160
_cell_length_b 9.4160
_cell_length_c 6.7660
_cell_angle_alpha 90.00
_cell_angle_beta 90.00
_cell_angle_gamma 153.25
loop_
_symmetry_equiv_pos_as_xyz
'x,y,z'
loop_
_atom_site_label
_atom_site_type_symbol
_atom_site_fract_x
_atom_site_fract_y
_atom_site_fract_z
Si1 Si 0.7195 0.2805 0.2500
Si2 Si 0.2805 0.7195 0.7500
Si3 Si 0.0589 0.9411 0.9272
Si4 Si 0.9411 0.0589 0.0728
Si5 Si 0.9411 0.0589 0.4272
Si6 Si 0.0589 0.9411 0.5728
Sm1 Sm 0.5523 0.4477 0.2500
Sm2 Sm 0.6572 0.3428 0.7500
Sm3 Sm 0.4477 0.5523 0.7500
Sm4 Sm 0.3428 0.6572 0.2500
Li1 Li 0.1902 0.8098 0.4404
Li2 Li 0.8098 0.1902 0.9404
Li3 Li 0.8098 0.1902 0.5596
Li4 Li 0.1902 0.8098 0.0596
```

Computed properties:
total energy: -4.839 eV/atom
energy relative to the elements: -57 kJ per mole of atoms

Record 4
First-principles (PBE) data for a relaxed structure of Rb2Al2Si3O10, as listed in the Materials Project database.

```
data_Rb2Al2Si3O10
_symmetry_space_group_name_H-M 'P 1'
_symmetry_Int_Tables_number 1
_cell_length_a 12.9039
_cell_length_b 9.9962
_cell_length_c 9.4026
_cell_angle_alpha 83.33
_cell_angle_beta 50.30
_cell_angle_gamma 46.36
loop_
_symmetry_equiv_pos_as_xyz
'x,y,z'
loop_
_atom_site_label
_atom_site_type_symbol
_atom_site_fract_x
_atom_site_fract_y
_atom_site_fract_z
O1 O 0.3947 0.7007 0.3978
O2 O 0.3917 0.4398 0.5032
O3 O 0.6127 0.5184 0.7628
O4 O 0.0404 0.8797 0.8324
O5 O 0.4872 0.1439 0.6373
O6 O 0.1061 0.7628 0.5184
O7 O 0.7316 0.6373 0.1439
O8 O 0.2210 0.3993 0.3657
O9 O 0.8507 0.0290 0.2360
O10 O 0.5493 0.8553 0.7432
O11 O 0.5068 0.3978 0.7007
O12 O 0.8843 0.2360 0.0290
O13 O 0.0140 0.3657 0.3993
O14 O 0.3703 0.2096 0.0025
O15 O 0.7468 0.5848 0.8583
O16 O 0.8522 0.7432 0.8553
O17 O 0.2475 0.8324 0.8797
O18 O 0.6652 0.5032 0.4398
O19 O 0.4176 0.0025 0.2096
O20 O 0.8102 0.8583 0.5848
Al1 Al 0.0002 0.6847 0.5814
Al2 Al 0.6686 0.5163 0.2498
Al3 Al 0.7337 0.5814 0.6847
Al4 Al 0.5653 0.2498 0.5163
Si1 Si 0.2498 0.2502 0.2502
Si2 Si 0.2399 0.6911 0.5583
Si3 Si 0.6917 0.7393 0.0101
Si4 Si 0.9998 0.0002 0.0002
Si5 Si 0.5107 0.5583 0.6911
Si6 Si 0.5589 0.0101 0.7393
Rb1 Rb 0.9841 0.6389 0.1078
Rb2 Rb 0.1422 0.9808 0.2659
Rb3 Rb 0.2692 0.1078 0.6389
Rb4 Rb 0.6111 0.2659 0.9808
```

Computed properties:
total energy: -7.219 eV/atom
total magnetic moment: 0.0 μB/cell
energy relative to the elements: -309 kJ per mole of atoms

Record 5
First-principles (PBE) data for a relaxed structure of MgAl4Cu2O8, as listed in the Materials Project database.

```
data_MgAl4Cu2O8
_symmetry_space_group_name_H-M 'P 1'
_symmetry_Int_Tables_number 1
_cell_length_a 5.9600
_cell_length_b 6.0364
_cell_length_c 5.7474
_cell_angle_alpha 118.42
_cell_angle_beta 90.58
_cell_angle_gamma 60.15
loop_
_symmetry_equiv_pos_as_xyz
'x,y,z'
loop_
_atom_site_label
_atom_site_type_symbol
_atom_site_fract_x
_atom_site_fract_y
_atom_site_fract_z
Al1 Al 0.6321 0.2290 0.6106
Al2 Al 0.2079 0.5847 0.2904
Al3 Al 0.1386 0.2306 0.6170
Al4 Al 0.0399 0.9213 0.9594
Cu1 Cu 0.7013 0.5947 0.4965
Cu2 Cu 0.7079 0.5818 0.1017
O1 O 0.4046 0.6816 0.8420
O2 O 0.9150 0.6809 0.8380
O3 O 0.3484 0.8065 0.4025
O4 O 0.9185 0.1638 0.3446
O5 O 0.3590 0.2855 0.3933
O6 O 0.3577 0.2824 0.8929
O7 O 0.9188 0.1616 0.8103
O8 O 0.8461 0.8048 0.3981
Mg1 Mg 0.5161 0.9700 0.9906
```

Computed properties:
total energy: -6.373 eV/atom
total magnetic moment: 0.0 μB/cell
distance to the lowest polymorph of the same formula: 0.142 eV/atom
energy relative to the elements: -236 kJ per mole of atoms